Li5Mn2P2C2O14 | PBE with a Hubbard U | optimized geometry

Summary:
DFT formation energy	-2.37	eV/atom
DFT total energy	-6.907	eV/atom
crystal system	monoclinic

Cell lengths 5.026, 6.632, 8.462 Å; angles 90.00, 94.50, 90.00 degrees
Atoms (fractional coordinates):
Li1 0.000 0.000 0.000
Li2 0.482 0.224 0.831
Li3 0.482 0.776 0.831
Li4 0.988 0.277 0.360
Li5 0.988 0.723 0.360
Mn1 0.022 0.500 0.762
Mn2 0.450 0.000 0.439
P1 0.500 0.500 0.516
P2 0.957 0.000 0.685
C1 0.530 0.000 0.134
C2 0.944 0.500 0.050
O1 0.047 0.000 0.515
O2 0.065 0.182 0.786
O3 0.065 0.818 0.786
O4 0.180 0.500 0.994
O5 0.284 0.000 0.166
O6 0.397 0.312 0.424
O7 0.397 0.688 0.424
O8 0.403 0.500 0.688
O9 0.598 0.000 0.988
O10 0.645 0.000 0.674
O11 0.718 0.000 0.249
O12 0.749 0.500 0.937
O13 0.816 0.500 0.539
O14 0.908 0.500 0.196